This record from the Materials Project describes ErU2S3O2 after structural relaxation. The functional is GGA-PBE.

Values from the calculation:
The total magnetization comes out at 4.8 μB/f.u. Its formation energy is -62.105 kcal/mol of atoms.

Cell lengths 3.797, 3.797, 21.073 Å; angles 90.00, 90.00, 90.00 degrees
Space group I4/mmm (No. 139)
Inequivalent atoms, fractional coordinates:
Er 0.000 0.000 0.000 [2 per cell]
U 0.000 0.000 0.314 [4 per cell]
S 0.000 0.000 0.128 [4 per cell]
S 0.000 0.000 0.500 [2 per cell]
O 0.000 0.500 0.250 [4 per cell]

This record from the Materials Project describes Er2Sb2O7 after structural relaxation. The functional is GGA-PBE.

Values from the calculation:
The total magnetization comes out at 0.0 μB/f.u. Its formation energy is -65.269 kcal/mol of atoms.

Cell lengths 7.5171, 7.5171, 18.4252 Å; angles 90.00, 90.00, 120.00 degrees
Space group P3_121 (No. 152)
Inequivalent atoms, fractional coordinates:
Er 0.0000 0.8342 0.1667 [3 per cell]
Er 0.0000 0.8342 0.6667 [3 per cell]
Er 0.1753 0.6755 0.0112 [6 per cell]
Sb 0.0000 0.3045 0.6667 [3 per cell]
Sb 0.0000 0.3260 0.1667 [3 per cell]
Sb 0.1691 0.6699 0.5016 [6 per cell]
O 0.0070 0.8069 0.5312 [6 per cell]
O 0.0122 0.3366 0.2914 [6 per cell]
O 0.0185 0.8512 0.2840 [6 per cell]
O 0.0400 0.4182 0.8141 [6 per cell]
O 0.1143 0.6643 0.3938 [6 per cell]
O 0.2002 0.6712 0.1385 [6 per cell]
O 0.2286 0.6839 0.6076 [6 per cell]

This record from the Materials Project describes Er3Sb5O12 after structural relaxation. The functional is GGA-PBE.

Values from the calculation:
Its formation energy is -61.686 kcal/mol of atoms.

Cell lengths 10.851, 10.851, 10.851 Å; angles 90.00, 90.00, 90.00 degrees
Space group I-43m (No. 217)
Inequivalent atoms, fractional coordinates:
Er 0.000 0.250 0.500 [12 per cell]
Sb 0.000 0.000 0.284 [12 per cell]
Sb 0.242 0.242 0.242 [8 per cell]
O 0.101 0.101 0.398 [24 per cell]
O 0.139 0.139 0.658 [24 per cell]

This record from the Materials Project describes ErSbO4 after structural relaxation. The functional is GGA-PBE.

Values from the calculation:
Its formation energy is -66.392 kcal/mol of atoms.

Cell lengths 5.361, 7.516, 7.634 Å; angles 81.33, 88.16, 89.58 degrees
Space group P-1 (No. 2)
Inequivalent atoms, fractional coordinates:
Er 0.214 0.389 0.342 [2 per cell]
Er 0.262 0.882 0.363 [2 per cell]
Sb 0.239 0.305 0.837 [2 per cell]
Sb 0.273 0.807 0.836 [2 per cell]
O 0.002 0.117 0.326 [2 per cell]
O 0.043 0.326 0.612 [2 per cell]
O 0.090 0.812 0.068 [2 per cell]
O 0.123 0.561 0.833 [2 per cell]
O 0.393 0.060 0.823 [2 per cell]
O 0.398 0.302 0.071 [2 per cell]
O 0.461 0.621 0.306 [2 per cell]
O 0.480 0.815 0.609 [2 per cell]

This record from the Materials Project describes ErSbO4 after structural relaxation. The functional is GGA-PBE.

Values from the calculation:
Its formation energy is -66.211 kcal/mol of atoms.

Cell lengths 7.677, 5.378, 7.562 Å; angles 90.00, 99.26, 90.00 degrees
Space group P2_1/c (No. 14)
Inequivalent atoms, fractional coordinates:
Er 0.153 0.231 0.375 [4 per cell]
Sb 0.340 0.738 0.189 [4 per cell]
O 0.112 0.545 0.179 [4 per cell]
O 0.191 0.030 0.114 [4 per cell]
O 0.324 0.616 0.939 [4 per cell]
O 0.430 0.088 0.806 [4 per cell]

This record from the Materials Project describes Er2Sc2O5 after structural relaxation. The functional is GGA-PBE.

Values from the calculation:
The total magnetization comes out at 0.0 μB/f.u. Its formation energy is -74.487 kcal/mol of atoms.

Cell lengths 4.047, 4.047, 7.369 Å; angles 90.00, 90.00, 90.00 degrees
Space group P4/mmm (No. 123)
Inequivalent atoms, fractional coordinates:
Er 0.000 0.000 0.000 [1 per cell]
Er 0.000 0.000 0.500 [1 per cell]
Sc 0.500 0.500 0.228 [2 per cell]
O 0.000 0.500 0.231 [4 per cell]
O 0.500 0.500 0.500 [1 per cell]

This record from the Materials Project describes ErScO3 after structural relaxation. The functional is GGA-PBE.

Values from the calculation:
The total magnetization comes out at 0.0 μB/f.u. Its formation energy is -91.597 kcal/mol of atoms.

Cell lengths 5.721, 7.944, 5.421 Å; angles 90.00, 90.00, 90.00 degrees
Space group Pnma (No. 62)
Inequivalent atoms, fractional coordinates:
Er 0.063 0.250 0.018 [4 per cell]
Sc 0.000 0.000 0.500 [4 per cell]
O 0.060 0.750 0.368 [4 per cell]
O 0.189 0.569 0.814 [8 per cell]

This record from the Materials Project describes Er2SeO2 after structural relaxation. The functional is GGA-PBE.

Values from the calculation:
Its formation energy is -78.711 kcal/mol of atoms.

Cell lengths 3.8069, 3.8069, 6.7819 Å; angles 90.00, 90.00, 120.00 degrees
Space group P-3m1 (No. 164)
Inequivalent atoms, fractional coordinates:
Er 0.3333 0.6667 0.2916 [2 per cell]
Se 0.0000 0.0000 0.0000 [1 per cell]
O 0.3333 0.6667 0.6256 [2 per cell]

| no. | calculated total energy (eV/f.u.) |
| --- | --- |
| 1 | -68.1 |
| 2 | -78.4 |
| 3 | -139.0 |
| 4 | -43.0 |
| 5 | -43.0 |
| 6 | -72.2 |
| 7 | -43.5 |
| 8 | -38.2 |